Model a:
Here is crystalline Ce2Zn17 at its relaxed geometry from Materials Project. Energies are from PBE.

Lattice parameters (Å, degrees): 8.987 8.987 8.808 90.00 90.00 120.00
Fractional positions:
Ce1 0.000 0.000 0.250
Ce2 0.000 0.000 0.750
Ce3 0.333 0.667 0.250
Ce4 0.667 0.333 0.750
Zn1 0.000 0.500 0.000
Zn2 0.000 0.500 0.500
Zn3 0.040 0.370 0.750
Zn4 0.040 0.670 0.750
Zn5 0.162 0.324 0.022
Zn6 0.162 0.324 0.478
Zn7 0.162 0.838 0.022
Zn8 0.162 0.838 0.478
Zn9 0.324 0.162 0.522
Zn10 0.324 0.162 0.978
Zn11 0.330 0.370 0.750
Zn12 0.330 0.960 0.750
Zn13 0.333 0.667 0.601
Zn14 0.333 0.667 0.899
Zn15 0.370 0.040 0.250
Zn16 0.370 0.330 0.250
Zn17 0.500 0.000 0.000
Zn18 0.500 0.000 0.500
Zn19 0.500 0.500 0.000
Zn20 0.500 0.500 0.500
Zn21 0.630 0.670 0.750
Zn22 0.630 0.960 0.750
Zn23 0.667 0.333 0.101
Zn24 0.667 0.333 0.399
Zn25 0.670 0.040 0.250
Zn26 0.670 0.630 0.250
Zn27 0.676 0.838 0.022
Zn28 0.676 0.838 0.478
Zn29 0.838 0.162 0.522
Zn30 0.838 0.162 0.978
Zn31 0.838 0.676 0.522
Zn32 0.838 0.676 0.978
Zn33 0.960 0.330 0.250
Zn34 0.960 0.630 0.250

Output
SG	P6_3/mmc (194)
crystal system	hexagonal


Model b:
Here is crystalline Ce2Zn17 at its relaxed geometry from Materials Project. Energies are from PBE.

Lattice parameters (Å, degrees): 6.848 6.848 6.848 82.71 82.71 82.71
Fractional positions:
Ce1 0.163 0.163 0.163
Ce2 0.837 0.837 0.837
Zn1 0.000 0.500 0.500
Zn2 0.149 0.149 0.661
Zn3 0.149 0.661 0.149
Zn4 0.206 0.500 0.794
Zn5 0.206 0.794 0.500
Zn6 0.339 0.851 0.851
Zn7 0.400 0.400 0.400
Zn8 0.500 0.000 0.500
Zn9 0.500 0.206 0.794
Zn10 0.500 0.500 0.000
Zn11 0.500 0.794 0.206
Zn12 0.600 0.600 0.600
Zn13 0.661 0.149 0.149
Zn14 0.794 0.206 0.500
Zn15 0.794 0.500 0.206
Zn16 0.851 0.339 0.851
Zn17 0.851 0.851 0.339

Output
SG	R-3m (166)
crystal system	trigonal


Relative stability in kJ/mol of atoms, measured from the most stable structure: model a 0.9; model b 0.0


Model a:
Here is crystalline Cl at its relaxed geometry from Materials Project. Energies are from PBE.

Lattice parameters (Å, degrees): 11.766 11.766 8.204 90.00 90.00 90.00
Fractional positions:
Cl1 0.094 0.644 0.111
Cl2 0.094 0.856 0.611
Cl3 0.144 0.594 0.889
Cl4 0.144 0.906 0.389
Cl5 0.356 0.594 0.389
Cl6 0.356 0.906 0.889
Cl7 0.406 0.644 0.611
Cl8 0.406 0.856 0.111
Cl9 0.594 0.144 0.889
Cl10 0.594 0.356 0.389
Cl11 0.644 0.094 0.111
Cl12 0.644 0.406 0.611
Cl13 0.856 0.094 0.611
Cl14 0.856 0.406 0.111
Cl15 0.906 0.144 0.389
Cl16 0.906 0.356 0.889

Output
SG	P4_2/ncm (138)
crystal system	tetragonal


Model b:
Here is crystalline Cl at its relaxed geometry from Materials Project. Energies are from PBE.

Lattice parameters (Å, degrees): 7.674 4.264 8.602 90.00 90.00 90.00
Fractional positions:
Cl1 0.000 0.097 0.106
Cl2 0.000 0.403 0.606
Cl3 0.000 0.597 0.394
Cl4 0.000 0.903 0.894
Cl5 0.500 0.097 0.394
Cl6 0.500 0.403 0.894
Cl7 0.500 0.597 0.106
Cl8 0.500 0.903 0.606

Output
SG	Cmce (64)
crystal system	orthorhombic


Relative stability in kJ/mol of atoms, measured from the most stable structure: model a 3.4; model b 0.0


Model a:
Here is crystalline CoH6N2Cl2 at its relaxed geometry from Materials Project. Energies are from PBE.

Lattice parameters (Å, degrees): 5.954 5.954 3.837 91.90 91.90 91.84
Fractional positions:
Co1 0.000 0.000 0.000
H1 0.190 0.385 0.210
H2 0.254 0.348 0.803
H3 0.393 0.214 0.108
H4 0.615 0.810 0.790
H5 0.652 0.746 0.197
H6 0.786 0.607 0.892
N1 0.237 0.266 0.030
N2 0.734 0.763 0.970
Cl1 0.191 0.809 0.500
Cl2 0.804 0.196 0.500

Output
SG	C2 (5)
crystal system	monoclinic


Model b:
Here is crystalline CoH6N2Cl2 at its relaxed geometry from Materials Project. Energies are from PBE.

Lattice parameters (Å, degrees): 6.809 6.809 6.809 112.74 107.77 107.95
Fractional positions:
Co1 0.493 0.243 0.250
Co2 0.507 0.757 0.750
H1 0.086 0.651 0.435
H2 0.115 0.062 0.836
H3 0.115 0.279 0.053
H4 0.274 0.721 0.336
H5 0.274 0.938 0.553
H6 0.284 0.349 0.935
H7 0.716 0.651 0.065
H8 0.726 0.062 0.447
H9 0.726 0.279 0.664
H10 0.885 0.721 0.947
H11 0.885 0.938 0.164
H12 0.914 0.349 0.565
N1 0.224 0.234 0.990
N2 0.256 0.766 0.490
N3 0.744 0.234 0.510
N4 0.776 0.766 0.010
Cl1 0.290 0.297 0.508
Cl2 0.290 0.782 0.992
Cl3 0.710 0.218 0.008
Cl4 0.710 0.703 0.492

Output
SG	Imma (74)
crystal system	orthorhombic


Relative stability in kJ/mol of atoms, measured from the most stable structure: model a 0.7; model b 0.0


Model a:
Here is crystalline TlCoN6Cl6 at its relaxed geometry from Materials Project. Energies are from PBE.

Lattice parameters (Å, degrees): 10.651 10.896 11.018 89.90 89.90 89.95
Fractional positions:
Tl1 0.000 0.000 0.000
Tl2 0.034 0.463 0.525
Tl3 0.500 0.944 0.500
Tl4 0.548 0.478 0.941
Co1 0.014 0.002 0.484
Co2 0.019 0.510 0.970
Co3 0.492 0.999 0.972
Co4 0.519 0.511 0.470
N1 0.040 0.077 0.320
N2 0.050 0.434 0.820
N3 0.060 0.662 0.919
N4 0.088 0.842 0.423
N5 0.149 0.450 0.051
N6 0.169 0.046 0.524
N7 0.348 0.963 0.037
N8 0.349 0.538 0.540
N9 0.416 0.358 0.416
N10 0.436 0.162 0.920
N11 0.456 0.585 0.311
N12 0.469 0.925 0.818
N13 0.548 0.428 0.617
N14 0.558 0.081 0.120
N15 0.559 0.663 0.518
N16 0.586 0.852 0.010
N17 0.649 0.446 0.390
N18 0.661 0.048 0.897
N19 0.847 0.541 0.900
N20 0.856 0.953 0.390
N21 0.915 0.362 0.019
N22 0.936 0.154 0.517
N23 0.946 0.920 0.610
N24 0.954 0.587 0.127
Cl1 0.054 0.770 0.296
Cl2 0.057 0.714 0.778
Cl3 0.173 0.052 0.242
Cl4 0.196 0.443 0.759
Cl5 0.227 0.188 0.524
Cl6 0.232 0.325 0.021
Cl7 0.273 0.671 0.518
Cl8 0.275 0.826 0.026
Cl9 0.327 0.937 0.749
Cl10 0.328 0.547 0.240
Cl11 0.449 0.218 0.782
Cl12 0.457 0.261 0.306
Cl13 0.550 0.766 0.131
Cl14 0.563 0.713 0.662
Cl15 0.682 0.041 0.198
Cl16 0.687 0.445 0.689
Cl17 0.728 0.184 0.923
Cl18 0.732 0.322 0.423
Cl19 0.770 0.828 0.423
Cl20 0.774 0.676 0.922
Cl21 0.825 0.957 0.696
Cl22 0.829 0.547 0.204
Cl23 0.952 0.218 0.656
Cl24 0.955 0.265 0.132

Output
SG	P1 (1)
crystal system	triclinic


Model b:
Here is crystalline TlCoN6Cl6 at its relaxed geometry from Materials Project. Energies are from PBE.

Lattice parameters (Å, degrees): 10.935 10.935 10.935 90.00 90.00 90.00
Fractional positions:
Tl1 0.000 0.000 0.000
Tl2 0.000 0.500 0.500
Tl3 0.500 0.000 0.500
Tl4 0.500 0.500 0.000
Co1 0.000 0.000 0.500
Co2 0.000 0.500 0.000
Co3 0.500 0.000 0.000
Co4 0.500 0.500 0.500
N1 0.068 0.085 0.639
N2 0.068 0.415 0.139
N3 0.085 0.639 0.068
N4 0.085 0.861 0.568
N5 0.139 0.068 0.415
N6 0.139 0.432 0.915
N7 0.361 0.568 0.415
N8 0.361 0.932 0.915
N9 0.415 0.139 0.068
N10 0.415 0.361 0.568
N11 0.432 0.585 0.639
N12 0.432 0.915 0.139
N13 0.568 0.085 0.861
N14 0.568 0.415 0.361
N15 0.585 0.639 0.432
N16 0.585 0.861 0.932
N17 0.639 0.068 0.085
N18 0.639 0.432 0.585
N19 0.861 0.568 0.085
N20 0.861 0.932 0.585
N21 0.915 0.139 0.432
N22 0.915 0.361 0.932
N23 0.932 0.585 0.861
N24 0.932 0.915 0.361
Cl1 0.078 0.682 0.214
Cl2 0.078 0.818 0.714
Cl3 0.182 0.214 0.422
Cl4 0.182 0.286 0.922
Cl5 0.214 0.078 0.682
Cl6 0.214 0.422 0.182
Cl7 0.286 0.578 0.682
Cl8 0.286 0.922 0.182
Cl9 0.318 0.714 0.422
Cl10 0.318 0.786 0.922
Cl11 0.422 0.182 0.214
Cl12 0.422 0.318 0.714
Cl13 0.578 0.682 0.286
Cl14 0.578 0.818 0.786
Cl15 0.682 0.214 0.078
Cl16 0.682 0.286 0.578
Cl17 0.714 0.078 0.818
Cl18 0.714 0.422 0.318
Cl19 0.786 0.578 0.818
Cl20 0.786 0.922 0.318
Cl21 0.818 0.714 0.078
Cl22 0.818 0.786 0.578
Cl23 0.922 0.182 0.286
Cl24 0.922 0.318 0.786

Output
SG	Pa-3 (205)
crystal system	cubic


Relative stability in kJ/mol of atoms, measured from the most stable structure: model a 0.0; model b 6.1


Model a:
Here is crystalline CsCrCl3 at its relaxed geometry from Materials Project. Energies are from PBE.

Lattice parameters (Å, degrees): 7.384 7.384 6.191 90.00 90.00 120.00
Fractional positions:
Cs1 0.333 0.667 0.000
Cs2 0.667 0.333 0.500
Cr1 0.000 0.000 0.266
Cr2 0.000 0.000 0.766
Cl1 0.154 0.309 0.515
Cl2 0.154 0.846 0.515
Cl3 0.309 0.154 0.015
Cl4 0.691 0.846 0.515
Cl5 0.846 0.154 0.015
Cl6 0.846 0.691 0.015

Output
SG	P6_3mc (186)
crystal system	hexagonal


Model b:
Here is crystalline CsCrCl3 at its relaxed geometry from Materials Project. Energies are from PBE.

Lattice parameters (Å, degrees): 7.420 7.420 6.317 91.18 91.18 59.51
Fractional positions:
Cs1 0.167 0.167 0.247
Cs2 0.833 0.833 0.753
Cr1 0.500 0.500 0.000
Cr2 0.500 0.500 0.500
Cl1 0.196 0.654 0.269
Cl2 0.342 0.342 0.794
Cl3 0.346 0.804 0.731
Cl4 0.654 0.196 0.269
Cl5 0.658 0.658 0.206
Cl6 0.804 0.346 0.731

Output
SG	C2/m (12)
crystal system	monoclinic


Relative stability in kJ/mol of atoms, measured from the most stable structure: model a 1.2; model b 0.0


Model a:
Here is crystalline Rb2CrI2Cl2 at its relaxed geometry from Materials Project. Energies are from PBE.

Lattice parameters (Å, degrees): 9.720 9.720 7.494 90.00 90.00 45.35
Fractional positions:
Rb1 0.126 0.126 0.000
Rb2 0.374 0.374 0.500
Rb3 0.626 0.626 0.500
Rb4 0.874 0.874 0.000
Cr1 0.000 0.000 0.500
Cr2 0.500 0.500 0.000
I1 0.156 0.156 0.500
I2 0.344 0.344 0.000
I3 0.656 0.656 0.000
I4 0.844 0.844 0.500
Cl1 0.229 0.771 0.729
Cl2 0.271 0.729 0.229
Cl3 0.729 0.271 0.771
Cl4 0.771 0.229 0.271

Output
SG	Cmce (64)
crystal system	orthorhombic


Model b:
Here is crystalline Rb2CrI2Cl2 at its relaxed geometry from Materials Project. Energies are from PBE.

Lattice parameters (Å, degrees): 9.494 9.494 13.629 90.00 90.00 58.12
Fractional positions:
Rb1 0.116 0.116 0.000
Rb2 0.384 0.384 0.500
Rb3 0.616 0.616 0.500
Rb4 0.884 0.884 0.000
Cr1 0.000 0.000 0.500
Cr2 0.500 0.500 0.000
I1 0.096 0.904 0.689
I2 0.404 0.596 0.189
I3 0.596 0.404 0.811
I4 0.904 0.096 0.311
Cl1 0.245 0.755 0.445
Cl2 0.255 0.745 0.945
Cl3 0.745 0.255 0.055
Cl4 0.755 0.245 0.555

Output
SG	Cmce (64)
crystal system	orthorhombic


Relative stability in kJ/mol of atoms, measured from the most stable structure: model a 0.0; model b 28.1


Model a:
Here is crystalline Cs3Fe2Cl9 at its relaxed geometry from Materials Project. Energies are from PBE.

Lattice parameters (Å, degrees): 7.362 7.362 8.964 90.00 90.00 120.00
Fractional positions:
Cs1 0.000 0.000 0.000
Cs2 0.333 0.667 0.331
Cs3 0.667 0.333 0.669
Fe1 0.333 0.667 0.814
Fe2 0.667 0.333 0.186
Cl1 0.000 0.500 0.000
Cl2 0.179 0.358 0.685
Cl3 0.179 0.821 0.685
Cl4 0.358 0.179 0.315
Cl5 0.500 0.000 0.000
Cl6 0.500 0.500 0.000
Cl7 0.642 0.821 0.685
Cl8 0.821 0.179 0.315
Cl9 0.821 0.642 0.315

Output
SG	P-3m1 (164)
crystal system	trigonal


Model b:
Here is crystalline Cs3Fe2Cl9 at its relaxed geometry from Materials Project. Energies are from PBE.

Lattice parameters (Å, degrees): 7.483 7.483 18.159 90.00 90.00 120.00
Fractional positions:
Cs1 0.000 0.000 0.250
Cs2 0.000 0.000 0.750
Cs3 0.333 0.667 0.083
Cs4 0.333 0.667 0.417
Cs5 0.667 0.333 0.583
Cs6 0.667 0.333 0.917
Fe1 0.333 0.667 0.654
Fe2 0.333 0.667 0.846
Fe3 0.667 0.333 0.154
Fe4 0.667 0.333 0.346
Cl1 0.041 0.521 0.750
Cl2 0.180 0.360 0.592
Cl3 0.180 0.360 0.908
Cl4 0.180 0.820 0.592
Cl5 0.180 0.820 0.908
Cl6 0.360 0.180 0.092
Cl7 0.360 0.180 0.408
Cl8 0.479 0.521 0.750
Cl9 0.479 0.959 0.750
Cl10 0.521 0.041 0.250
Cl11 0.521 0.479 0.250
Cl12 0.640 0.820 0.592
Cl13 0.640 0.820 0.908
Cl14 0.820 0.180 0.092
Cl15 0.820 0.180 0.408
Cl16 0.820 0.640 0.092
Cl17 0.820 0.640 0.408
Cl18 0.959 0.479 0.250

Output
SG	P6_3/mmc (194)
crystal system	hexagonal


Relative stability in kJ/mol of atoms, measured from the most stable structure: model a 4.6; model b 0.0